Record 1
A relaxed structure of CaMg3Si3O10, computed with GGA-PBE.

Cell and atoms, written as POSCAR:
```
CaMg3Si3O10
1.0
6.322 2.815 5.645
-6.096 -6.707 3.813
8.030 -3.781 -5.395
Ca Mg Si O
4 12 12 40
Direct
0.383 0.634 0.428
0.617 0.366 0.572
0.366 0.619 0.950
0.634 0.381 0.050
0.500 0.000 0.000
0.000 0.500 0.500
0.168 0.847 0.540
0.832 0.153 0.460
0.153 0.833 0.050
0.847 0.167 0.950
0.067 0.930 0.841
0.933 0.070 0.159
0.065 0.942 0.345
0.935 0.058 0.655
0.257 0.744 0.747
0.743 0.256 0.253
0.329 0.230 0.757
0.671 0.770 0.243
0.340 0.226 0.249
0.660 0.774 0.751
0.234 0.337 0.551
0.766 0.663 0.449
0.220 0.334 0.062
0.780 0.666 0.938
0.439 0.948 0.304
0.561 0.052 0.696
0.048 0.564 0.202
0.952 0.436 0.798
0.163 0.067 0.712
0.837 0.933 0.288
0.169 0.065 0.215
0.831 0.935 0.785
0.288 0.955 0.406
0.712 0.045 0.594
0.271 0.942 0.925
0.729 0.058 0.075
0.399 0.876 0.624
0.601 0.124 0.376
0.384 0.874 0.132
0.616 0.126 0.868
0.497 0.200 0.702
0.503 0.800 0.298
0.491 0.778 0.822
0.509 0.222 0.178
0.374 0.318 0.429
0.626 0.682 0.571
0.358 0.340 0.937
0.642 0.660 0.063
0.070 0.168 0.517
0.930 0.832 0.483
0.063 0.163 0.009
0.937 0.837 0.991
0.039 0.715 0.181
0.961 0.285 0.819
0.060 0.730 0.660
0.940 0.270 0.340
0.123 0.616 0.363
0.877 0.384 0.637
0.128 0.600 0.864
0.872 0.400 0.136
0.192 0.500 0.098
0.808 0.500 0.902
0.225 0.507 0.574
0.775 0.493 0.426
0.318 0.368 0.207
0.682 0.632 0.793
0.338 0.366 0.697
0.662 0.634 0.303
```

Values from the calculation:
**Formation enthalpy at 0 K**: -3.237 eV/atom
**Space group**: No. 2
**E_tot**: -482.86 eV/cell

Record 2
A relaxed structure of CaMgSi2O2, computed with GGA-PBE.

Cell and atoms, written as POSCAR:
```
CaMgSi2O2
1.0
-2.094 0.634 -6.062
4.397 -4.107 -2.311
-2.788 -4.063 -0.311
Ca Mg Si O
2 2 4 4
Direct
0.693 0.307 0.250
0.307 0.693 0.750
0.916 0.084 0.750
0.084 0.916 0.250
0.604 0.785 0.210
0.396 0.215 0.790
0.785 0.604 0.710
0.215 0.396 0.290
0.969 0.792 0.638
0.208 0.031 0.862
0.792 0.969 0.138
0.031 0.208 0.362
```

Values from the calculation:
**Formation enthalpy at 0 K**: -1.652 eV/atom
**Space group**: No. 15
**E_tot**: -65.78 eV/cell

Record 3
A relaxed structure of SrCa3Mg4Si8O24, computed with GGA-PBE.

Cell and atoms, written as POSCAR:
```
SrCa3Mg4Si8O24
1.0
9.091 0.000 0.000
0.000 5.324 0.000
0.000 2.628 9.522
Sr Ca Mg Si O
1 3 4 8 24
Direct
0.806 0.500 0.500
0.300 0.000 0.000
0.201 0.000 0.500
0.700 0.500 0.000
0.406 0.500 0.500
0.907 0.000 0.000
0.590 0.000 0.500
0.093 0.500 0.000
0.095 0.692 0.285
0.592 0.191 0.787
0.095 0.308 0.715
0.592 0.809 0.213
0.908 0.810 0.717
0.407 0.308 0.213
0.908 0.190 0.283
0.407 0.692 0.787
0.248 0.706 0.363
0.747 0.207 0.862
0.248 0.294 0.637
0.747 0.793 0.138
0.751 0.806 0.642
0.252 0.294 0.137
0.751 0.194 0.358
0.252 0.706 0.863
0.088 0.777 0.115
0.581 0.273 0.617
0.088 0.223 0.885
0.581 0.727 0.383
0.913 0.723 0.887
0.412 0.224 0.384
0.913 0.277 0.113
0.412 0.776 0.616
0.019 0.392 0.346
0.517 0.893 0.851
0.019 0.608 0.654
0.517 0.107 0.149
0.986 0.105 0.652
0.483 0.605 0.150
0.986 0.895 0.348
0.483 0.395 0.850
```

Values from the calculation:
**Formation enthalpy at 0 K**: -3.340 eV/atom
**Space group**: No. 3
**E_tot**: -293.39 eV/cell